Record 1
Here is a relaxed PrCu2Sn2 crystal from Materials Project. Energies are from meta-GGA r2SCAN.

Structure (CIF):
```
data_PrCu2Sn2
_cell_length_a 4.447
_cell_length_b 4.447
_cell_length_c 10.643
_cell_angle_alpha 90.00
_cell_angle_beta 90.00
_cell_angle_gamma 90.00
_space_group_name_H-M_alt 'P 4/n m m'
_space_group_IT_number 129
loop_
_space_group_symop_operation_xyz
'x,y,z'
'-x,-y,-z'
'-y+1/2,x,z'
'y+1/2,-x,-z'
'-x+1/2,-y+1/2,z'
'x+1/2,y+1/2,-z'
'y,-x+1/2,z'
'-y,x+1/2,-z'
'x+1/2,-y,-z'
'-x+1/2,y,z'
'-y,-x,-z'
'y,x,z'
'-x,y+1/2,-z'
'x,-y+1/2,z'
'y+1/2,x+1/2,-z'
'-y+1/2,-x+1/2,z'
loop_
_atom_site_label
_atom_site_fract_x
_atom_site_fract_y
_atom_site_fract_z
Pr1 0.250 0.250 0.240
Cu1 0.250 0.250 0.636
Cu2 0.250 0.750 0.000
Sn1 0.250 0.250 0.874
Sn2 0.250 0.750 0.500
```


Record 2
Here is a relaxed CuPt crystal from Materials Project. Energies are from meta-GGA r2SCAN.

Structure (CIF):
```
data_CuPt
_cell_length_a 2.7246
_cell_length_b 2.7246
_cell_length_c 12.7334
_cell_angle_alpha 90.00
_cell_angle_beta 90.00
_cell_angle_gamma 120.00
_space_group_name_H-M_alt 'R -3 m'
_space_group_IT_number 166
_space_group_name_Hall '-R 3 2"'
loop_
_atom_site_label
_atom_site_fract_x
_atom_site_fract_y
_atom_site_fract_z
Cu1 0.0000 0.0000 0.0000
Pt1 0.0000 0.0000 0.5000
```


Record 3
Here is a relaxed Tb4CuPt3 crystal from Materials Project. Energies are from meta-GGA r2SCAN.

Structure (CIF):
```
data_Tb4CuPt3
_cell_length_a 5.546
_cell_length_b 4.461
_cell_length_c 7.124
_cell_angle_alpha 90.00
_cell_angle_beta 90.41
_cell_angle_gamma 90.00
_space_group_name_H-M_alt 'P 1 m 1'
_space_group_IT_number 6
loop_
_space_group_symop_operation_xyz
'x,y,z'
'x,-y,z'
loop_
_atom_site_label
_atom_site_fract_x
_atom_site_fract_y
_atom_site_fract_z
Tb1 0.000 0.000 0.000
Tb2 0.213 0.000 0.498
Tb3 0.498 0.500 0.138
Tb4 0.722 0.500 0.627
Cu1 0.493 0.000 0.852
Pt1 0.013 0.500 0.268
Pt2 0.228 0.500 0.781
Pt3 0.697 0.000 0.361
```


Record 4
Here is a relaxed Zn2CuPt crystal from Materials Project. Energies are from meta-GGA r2SCAN.

Structure (CIF):
```
data_Zn2CuPt
_cell_length_a 5.999
_cell_length_b 5.999
_cell_length_c 5.999
_cell_angle_alpha 90.00
_cell_angle_beta 90.00
_cell_angle_gamma 90.00
_space_group_name_H-M_alt 'F m -3 m'
_space_group_IT_number 225
_space_group_name_Hall '-F 4 2 3'
loop_
_atom_site_label
_atom_site_fract_x
_atom_site_fract_y
_atom_site_fract_z
Zn1 0.250 0.250 0.250
Cu1 0.000 0.000 0.000
Pt1 0.000 0.000 0.500
```


| no. | theoretical density (g/cm3) | formation energy from the elements (eV per atom) |
| --- | --- | --- |
| 1 | 8.0 | -0.462 |
| 2 | 15.7 | -0.182 |
| 3 | 12.1 | -1.139 |
| 4 | 12.0 | -0.375 |